## LiFeF3 (GGA+U)

Data for LiFeF3 after structural relaxation.

```
30
Lattice="6.5556 0.0000 0.0000 -0.7915 6.6280 0.0000 -2.2157 -0.3549 8.5141" Properties=species:S:1:pos:R:3 pbc="T T T"
Li -0.8147 2.5425 2.5365
Li 0.6613 5.3320 0.1781
Li -0.1106 5.9806 6.3297
Li 3.6590 0.2925 2.1844
Li 2.8872 0.9411 8.3360
Li 4.3631 3.7306 5.9776
Fe -0.0103 5.5403 3.5636
Fe 1.6695 2.0654 0.0015
Fe 0.9649 2.6556 5.6851
Fe 2.5836 3.6175 2.8290
Fe 1.8789 4.2077 8.5126
Fe 3.5587 0.7328 4.9505
F -0.1291 2.1556 0.8355
F -1.2680 5.1384 5.0394
F -0.9220 2.3408 6.4013
F -0.0063 5.9585 1.7380
F -0.1711 -0.1385 7.8106
F 0.5585 3.4131 3.6473
F 1.3099 0.6616 4.9885
F 2.0912 4.1276 0.7285
F 2.4808 1.7664 2.0371
F 1.0677 4.5066 6.4770
F 1.4572 2.1455 7.7856
F 2.2385 5.6115 3.5256
F 2.9900 2.8600 4.8668
F 3.7196 6.4116 0.7035
F 3.5548 0.3146 6.7761
F 4.4705 3.9322 2.1128
F 4.8164 1.1346 3.4747
F 3.6776 4.1175 7.6786
```

Properties
The crystal system is triclinic. Its space-group type is No. 2. The energy above the most stable polymorph in this dataset is 59 meV per atom. Its theoretical density is 3.2 Mg/m³.

---

## LiFeF3 (GGA+U)

Data for LiFeF3 after structural relaxation.

```
20
Lattice="6.1051 0.0000 0.0000 -0.0184 6.1117 0.0000 -0.0052 -0.0103 6.1268" Properties=species:S:1:pos:R:3 pbc="T T T"
Li 0.0000 0.0000 0.0000
Li 1.4726 3.0933 1.5813
Li 3.0144 1.5690 4.6313
Li 4.4996 4.6422 3.0769
Fe 1.6909 4.3688 4.3730
Fe 2.8114 0.2620 1.3004
Fe 4.7869 3.2991 0.2413
Fe 5.8249 1.3319 3.2860
F 0.6449 3.9559 0.0331
F 0.7916 0.9254 1.5820
F 1.5034 2.3948 3.7369
F 2.1415 0.0295 5.4552
F 2.3820 4.6325 2.3721
F 2.9927 2.2546 0.6693
F 3.6766 3.7292 4.6249
F 3.8476 0.6748 3.1148
F 4.5246 5.3035 0.8999
F 5.2182 1.5672 5.2809
F 5.4180 3.1247 2.2468
F 6.0807 5.4357 3.9780
```

Properties
The crystal system is triclinic. Its space-group type is No. 1. The energy above the most stable polymorph in this dataset is 13 meV per atom. Its theoretical density is 3.5 Mg/m³.

---

## LiFe2F5 (GGA+U)

Data for LiFe2F5 after structural relaxation.

```
16
Lattice="5.4848 -2.6089 0.0000 5.4848 2.6089 0.0000 -2.8297 0.0000 7.0225" Properties=species:S:1:pos:R:3 pbc="T T T"
Li 0.0000 0.0000 0.0000
Li -1.4148 0.0000 3.5113
Fe 1.7163 0.0312 4.4239
Fe 3.1312 -0.0312 0.9126
Fe 5.0088 0.0312 6.1099
Fe 6.4236 -0.0312 2.5986
F 3.9893 1.6121 0.1889
F 2.3661 1.0842 2.5834
F 3.3625 0.9983 5.2669
F 5.5654 1.6121 3.3223
F 7.1887 1.0842 0.9279
F 0.9512 -1.0842 6.0946
F 2.5745 -1.6121 3.7002
F 4.7774 -0.9983 1.7556
F 5.7739 -1.0842 4.4392
F 4.1506 -1.6121 6.8336
```

Properties
The crystal system is monoclinic. Its space-group type is No. 15. The energy above the most stable polymorph in this dataset is 685 meV per atom. Its theoretical density is 3.5 Mg/m³.

---

## LiFeF3 (GGA+U)

Data for LiFeF3 after structural relaxation.

```
20
Lattice="3.6423 -5.1323 0.0000 3.6423 5.1323 0.0000 0.0000 0.0000 6.4531" Properties=species:S:1:pos:R:3 pbc="T T T"
Li 3.6423 5.1300 1.6133
Li 3.6423 -5.1300 4.8398
Li 3.6423 0.0290 4.8398
Li 3.6423 -0.0290 1.6133
Fe 1.8211 2.5661 0.0000
Fe 1.8211 2.5661 3.2265
Fe 1.8211 -2.5661 0.0000
Fe 1.8211 -2.5661 3.2265
F 1.3351 1.3494 1.6133
F 1.3902 1.2942 4.8398
F 1.3351 -1.3494 4.8398
F 1.3902 -1.2942 1.6133
F 3.6423 1.4347 0.0406
F 3.6423 1.4347 3.1860
F 3.6423 -1.4347 3.2671
F 3.6423 -1.4347 6.4125
F 5.8944 1.2942 4.8398
F 5.9494 1.3494 1.6133
F 5.8944 -1.2942 1.6133
F 5.9494 -1.3494 4.8398
```

Properties
The crystal system is orthorhombic. Its space-group type is No. 63. The energy above the most stable polymorph in this dataset is 46 meV per atom. Its theoretical density is 3.3 Mg/m³.

---

## LiFe2F5 (GGA+U)

Data for LiFe2F5 after structural relaxation.

```
32
Lattice="8.8551 0.0000 0.0000 0.0000 8.8576 0.0000 0.0000 0.0000 5.8841" Properties=species:S:1:pos:R:3 pbc="T T T"
Li 2.0735 2.0303 0.0000
Li 2.3541 6.4591 2.9420
Li 6.5010 2.3985 2.9420
Li 6.7816 6.8273 0.0000
Fe 0.0000 0.0000 1.6887
Fe 0.0000 0.0000 4.1954
Fe 1.1770 3.2895 2.9420
Fe 3.2505 7.7183 0.0000
Fe 4.4275 4.4288 1.2533
Fe 4.4275 4.4288 4.6307
Fe 5.6045 1.1393 0.0000
Fe 7.6781 5.5681 2.9420
F 0.9366 5.2809 2.9420
F 0.9891 1.8423 1.5232
F 0.9891 1.8423 4.3609
F 1.2099 8.2103 0.0000
F 1.4944 8.1441 2.9420
F 2.9331 3.7152 0.0000
F 3.2176 3.7815 2.9420
F 3.4385 6.2712 1.4188
F 3.4385 6.2712 4.4653
F 3.4909 0.8521 0.0000
F 5.3641 8.0055 0.0000
F 5.4166 2.5865 1.4188
F 5.4166 2.5865 4.4653
F 5.6374 5.0761 2.9420
F 5.9219 5.1424 0.0000
F 7.3607 0.7136 2.9420
F 7.6452 0.6473 0.0000
F 7.8660 7.0153 1.5232
F 7.8660 7.0153 4.3609
F 7.9185 3.5767 2.9420
```

Properties
The crystal system is orthorhombic. Its space-group type is No. 58. The energy above the most stable polymorph in this dataset is 59 meV per atom. Its theoretical density is 3.1 Mg/m³.

---

## LiFeF3 (GGA+U)

Data for LiFeF3 after structural relaxation.

```
20
Lattice="5.0420 -4.1686 0.0000 5.0420 4.1686 0.0000 -0.3403 0.0000 5.8620" Properties=species:S:1:pos:R:3 pbc="T T T"
Li 1.3481 0.0000 3.6923
Li 5.0420 2.6658 0.0000
Li 5.0420 -2.6658 0.0000
Li 8.3955 0.0000 2.1697
Fe 2.4839 0.0000 1.2742
Fe 4.8718 1.3109 2.9310
Fe 4.8718 -1.3109 2.9310
Fe 7.2597 0.0000 4.5878
F 3.6384 2.8601 3.6713
F 0.9343 0.0000 5.4813
F 3.9608 1.4242 1.0699
F 6.1051 2.8601 2.1907
F 3.2849 0.0000 3.4175
F 5.7828 1.4242 4.7922
F 3.9608 -1.4242 1.0699
F 6.4587 0.0000 2.4445
F 3.6384 -2.8601 3.6713
F 5.7828 -1.4242 4.7922
F 8.8093 0.0000 0.3807
F 6.1051 -2.8601 2.1907
```

Properties
The crystal system is monoclinic. Its space-group type is No. 12. The energy above the most stable polymorph in this dataset is 75 meV per atom. Its theoretical density is 3.2 Mg/m³.

---

Sequential volume output: 12.331; 11.430; 12.561; 12.063; 14.422; 12.321 Å³/atom
Sequential total energy after the MP2020 corrections output: -5.962; -6.008; -5.560; -5.975; -6.187; -5.947 eV per atom
Sequential DFT formation energy output: -2737; -2784; -2007; -2751; -2634; -2722 meV/atom